[1]
# MnFeCoP3O12 | the Materials Project database | PBE with a Hubbard U | relaxed
data_MnFeCoP3O12
_space_group_name_H-M_alt 'P 1 m 1'
_space_group_IT_number 6
_space_group_name_Hall 'P -2y'
_cell_length_a 9.871
_cell_length_b 5.975
_cell_length_c 14.615
_cell_angle_alpha 90.00
_cell_angle_beta 90.05
_cell_angle_gamma 90.00
loop_
_atom_site_label
_atom_site_type_symbol
_atom_site_fract_x
_atom_site_fract_y
_atom_site_fract_z
Mn1 Mn 0.000 0.000 0.000
Mn2 Mn 0.004 0.000 0.335
Mn3 Mn 0.503 0.000 0.128
Mn4 Mn 0.938 0.500 0.834
Fe1 Fe 0.495 0.000 0.803
Fe2 Fe 0.944 0.500 0.161
Fe3 Fe 0.946 0.500 0.493
Fe4 Fe 0.998 0.000 0.660
Co1 Co 0.443 0.500 0.301
Co2 Co 0.445 0.500 0.969
Co3 Co 0.448 0.500 0.637
Co4 Co 0.488 0.000 0.474
P1 P 0.123 0.500 0.008
P2 P 0.124 0.500 0.676
P3 P 0.126 0.500 0.343
P4 P 0.318 0.000 0.955
P5 P 0.319 0.000 0.619
P6 P 0.320 0.000 0.289
P7 P 0.618 0.500 0.451
P8 P 0.623 0.500 0.120
P9 P 0.623 0.500 0.788
P10 P 0.818 0.000 0.508
P11 P 0.819 0.000 0.842
P12 P 0.821 0.000 0.175
O1 O 0.048 0.302 0.392
O2 O 0.049 0.302 0.059
O3 O 0.053 0.296 0.722
O4 O 0.102 0.500 0.572
O5 O 0.103 0.500 0.240
O6 O 0.103 0.500 0.905
O7 O 0.166 0.000 0.933
O8 O 0.168 0.000 0.265
O9 O 0.168 0.000 0.595
O10 O 0.275 0.500 0.370
O11 O 0.276 0.500 0.030
O12 O 0.279 0.500 0.696
O13 O 0.337 0.000 0.060
O14 O 0.339 0.000 0.394
O15 O 0.339 0.000 0.723
O16 O 0.391 0.201 0.906
O17 O 0.391 0.206 0.243
O18 O 0.394 0.201 0.571
O19 O 0.547 0.299 0.403
O20 O 0.547 0.301 0.070
O21 O 0.550 0.297 0.740
O22 O 0.596 0.500 0.557
O23 O 0.604 0.500 0.224
O24 O 0.604 0.500 0.893
O25 O 0.665 0.000 0.527
O26 O 0.668 0.000 0.196
O27 O 0.668 0.000 0.866
O28 O 0.771 0.500 0.433
O29 O 0.773 0.500 0.095
O30 O 0.775 0.500 0.763
O31 O 0.837 0.000 0.069
O32 O 0.839 0.000 0.403
O33 O 0.840 0.000 0.739
O34 O 0.892 0.201 0.556
O35 O 0.892 0.204 0.221
O36 O 0.893 0.201 0.891
# E above lowest polymorph = 0.010 eV/atom
# spin magnetization = 50.00 μB/cell
# VASP energy = -7.065 eV per atom

[2]
# MnFeCoP3O12 | the Materials Project database | PBE with a Hubbard U | relaxed
data_MnFeCoP3O12
_space_group_name_H-M_alt 'P 1 m 1'
_space_group_IT_number 6
_space_group_name_Hall 'P -2y'
_cell_length_a 9.855
_cell_length_b 6.007
_cell_length_c 14.654
_cell_angle_alpha 90.00
_cell_angle_beta 90.30
_cell_angle_gamma 90.00
loop_
_atom_site_label
_atom_site_type_symbol
_atom_site_fract_x
_atom_site_fract_y
_atom_site_fract_z
Mn1 Mn 0.000 0.000 0.000
Mn2 Mn 0.001 0.000 0.333
Mn3 Mn 0.930 0.500 0.166
Mn4 Mn 0.933 0.500 0.834
Fe1 Fe 0.444 0.500 0.637
Fe2 Fe 0.446 0.500 0.302
Fe3 Fe 0.942 0.500 0.492
Fe4 Fe 0.994 0.000 0.661
Co1 Co 0.443 0.500 0.969
Co2 Co 0.489 0.000 0.470
Co3 Co 0.490 0.000 0.805
Co4 Co 0.491 0.000 0.132
P1 P 0.117 0.500 0.675
P2 P 0.118 0.500 0.007
P3 P 0.118 0.500 0.339
P4 P 0.315 0.000 0.950
P5 P 0.318 0.000 0.284
P6 P 0.319 0.000 0.618
P7 P 0.617 0.500 0.116
P8 P 0.618 0.500 0.451
P9 P 0.618 0.500 0.786
P10 P 0.814 0.000 0.841
P11 P 0.815 0.000 0.173
P12 P 0.816 0.000 0.506
O1 O 0.044 0.302 0.389
O2 O 0.045 0.296 0.721
O3 O 0.047 0.299 0.055
O4 O 0.096 0.500 0.235
O5 O 0.096 0.500 0.571
O6 O 0.098 0.500 0.902
O7 O 0.162 0.000 0.929
O8 O 0.165 0.000 0.263
O9 O 0.167 0.000 0.597
O10 O 0.269 0.500 0.360
O11 O 0.270 0.500 0.697
O12 O 0.272 0.500 0.025
O13 O 0.338 0.000 0.055
O14 O 0.341 0.000 0.388
O15 O 0.344 0.000 0.722
O16 O 0.387 0.201 0.902
O17 O 0.390 0.202 0.236
O18 O 0.392 0.201 0.570
O19 O 0.545 0.299 0.068
O20 O 0.545 0.301 0.401
O21 O 0.547 0.300 0.736
O22 O 0.594 0.500 0.890
O23 O 0.597 0.500 0.554
O24 O 0.599 0.500 0.220
O25 O 0.660 0.000 0.861
O26 O 0.661 0.000 0.193
O27 O 0.662 0.000 0.523
O28 O 0.770 0.500 0.092
O29 O 0.770 0.500 0.430
O30 O 0.770 0.500 0.764
O31 O 0.835 0.000 0.738
O32 O 0.836 0.000 0.069
O33 O 0.837 0.000 0.402
O34 O 0.885 0.201 0.889
O35 O 0.888 0.200 0.222
O36 O 0.889 0.200 0.554
# E above lowest polymorph = 0.015 eV/atom
# spin magnetization = 52.00 μB/cell
# VASP energy = -7.060 eV per atom

[3]
# MnFeCoP3O12 | the Materials Project database | PBE with a Hubbard U | relaxed
data_MnFeCoP3O12
_space_group_name_H-M_alt 'P 1 m 1'
_space_group_IT_number 6
_space_group_name_Hall 'P -2y'
_cell_length_a 9.861
_cell_length_b 5.994
_cell_length_c 14.664
_cell_angle_alpha 90.00
_cell_angle_beta 90.26
_cell_angle_gamma 90.00
loop_
_atom_site_label
_atom_site_type_symbol
_atom_site_fract_x
_atom_site_fract_y
_atom_site_fract_z
Mn1 Mn 0.000 0.000 0.000
Mn2 Mn 0.001 0.000 0.668
Mn3 Mn 0.072 0.500 0.167
Mn4 Mn 0.073 0.500 0.836
Fe1 Fe 0.013 0.000 0.327
Fe2 Fe 0.069 0.500 0.494
Fe3 Fe 0.515 0.000 0.798
Fe4 Fe 0.516 0.000 0.132
Co1 Co 0.517 0.000 0.468
Co2 Co 0.560 0.500 0.302
Co3 Co 0.560 0.500 0.967
Co4 Co 0.563 0.500 0.631
P1 P 0.188 0.000 0.842
P2 P 0.189 0.000 0.174
P3 P 0.193 0.000 0.508
P4 P 0.387 0.500 0.117
P5 P 0.389 0.500 0.782
P6 P 0.390 0.500 0.445
P7 P 0.687 0.000 0.283
P8 P 0.689 0.000 0.947
P9 P 0.691 0.000 0.613
P10 P 0.885 0.500 0.007
P11 P 0.885 0.500 0.673
P12 P 0.888 0.500 0.340
O1 O 0.115 0.198 0.224
O2 O 0.117 0.201 0.890
O3 O 0.124 0.205 0.555
O4 O 0.164 0.000 0.071
O5 O 0.164 0.000 0.738
O6 O 0.169 0.000 0.404
O7 O 0.233 0.500 0.096
O8 O 0.235 0.500 0.764
O9 O 0.238 0.500 0.427
O10 O 0.340 0.000 0.193
O11 O 0.341 0.000 0.860
O12 O 0.348 0.000 0.526
O13 O 0.409 0.500 0.221
O14 O 0.413 0.500 0.886
O15 O 0.417 0.500 0.549
O16 O 0.458 0.298 0.068
O17 O 0.459 0.298 0.734
O18 O 0.461 0.299 0.396
O19 O 0.616 0.200 0.232
O20 O 0.617 0.200 0.897
O21 O 0.619 0.201 0.563
O22 O 0.663 0.000 0.386
O23 O 0.668 0.000 0.050
O24 O 0.669 0.000 0.716
O25 O 0.730 0.500 0.024
O26 O 0.730 0.500 0.691
O27 O 0.734 0.500 0.357
O28 O 0.840 0.000 0.265
O29 O 0.842 0.000 0.926
O30 O 0.844 0.000 0.592
O31 O 0.908 0.500 0.904
O32 O 0.909 0.500 0.236
O33 O 0.910 0.500 0.571
O34 O 0.954 0.298 0.723
O35 O 0.954 0.299 0.057
O36 O 0.960 0.300 0.389
# E above lowest polymorph = 0.023 eV/atom
# spin magnetization = 46.05 μB/cell
# VASP energy = -7.052 eV per atom

[4]
# MnFeCoP3O12 | the Materials Project database | PBE with a Hubbard U | relaxed
data_MnFeCoP3O12
_space_group_name_H-M_alt 'P 1 m 1'
_space_group_IT_number 6
_space_group_name_Hall 'P -2y'
_cell_length_a 9.871
_cell_length_b 5.976
_cell_length_c 14.641
_cell_angle_alpha 90.00
_cell_angle_beta 90.26
_cell_angle_gamma 90.00
loop_
_atom_site_label
_atom_site_type_symbol
_atom_site_fract_x
_atom_site_fract_y
_atom_site_fract_z
Mn1 Mn 0.000 0.000 0.000
Mn2 Mn 0.002 0.000 0.665
Mn3 Mn 0.004 0.000 0.332
Mn4 Mn 0.073 0.500 0.165
Fe1 Fe 0.063 0.500 0.825
Fe2 Fe 0.064 0.500 0.491
Fe3 Fe 0.513 0.000 0.798
Fe4 Fe 0.515 0.000 0.466
Co1 Co 0.512 0.000 0.131
Co2 Co 0.558 0.500 0.968
Co3 Co 0.559 0.500 0.632
Co4 Co 0.566 0.500 0.292
P1 P 0.185 0.000 0.838
P2 P 0.186 0.000 0.505
P3 P 0.189 0.000 0.171
P4 P 0.385 0.500 0.114
P5 P 0.389 0.500 0.445
P6 P 0.389 0.500 0.780
P7 P 0.685 0.000 0.949
P8 P 0.689 0.000 0.283
P9 P 0.689 0.000 0.615
P10 P 0.881 0.500 0.672
P11 P 0.882 0.500 0.006
P12 P 0.885 0.500 0.339
O1 O 0.114 0.204 0.551
O2 O 0.114 0.204 0.885
O3 O 0.120 0.201 0.220
O4 O 0.165 0.000 0.733
O5 O 0.166 0.000 0.067
O6 O 0.166 0.000 0.400
O7 O 0.232 0.500 0.091
O8 O 0.237 0.500 0.426
O9 O 0.237 0.500 0.760
O10 O 0.338 0.000 0.857
O11 O 0.339 0.000 0.524
O12 O 0.344 0.000 0.189
O13 O 0.404 0.500 0.218
O14 O 0.414 0.500 0.549
O15 O 0.414 0.500 0.884
O16 O 0.457 0.298 0.065
O17 O 0.462 0.297 0.398
O18 O 0.462 0.297 0.732
O19 O 0.615 0.201 0.899
O20 O 0.615 0.204 0.235
O21 O 0.616 0.200 0.565
O22 O 0.661 0.000 0.053
O23 O 0.671 0.000 0.386
O24 O 0.671 0.000 0.719
O25 O 0.728 0.500 0.026
O26 O 0.729 0.500 0.693
O27 O 0.734 0.500 0.361
O28 O 0.838 0.000 0.929
O29 O 0.841 0.000 0.259
O30 O 0.842 0.000 0.593
O31 O 0.905 0.500 0.570
O32 O 0.905 0.500 0.903
O33 O 0.909 0.500 0.235
O34 O 0.953 0.298 0.056
O35 O 0.956 0.301 0.723
O36 O 0.959 0.301 0.388
# E above lowest polymorph = 0.015 eV/atom
# spin magnetization = 46.00 μB/cell
# VASP energy = -7.060 eV per atom

[5]
# MnFeCoP3O12 | the Materials Project database | PBE with a Hubbard U | relaxed
data_MnFeCoP3O12
_space_group_name_H-M_alt 'P 1 m 1'
_space_group_IT_number 6
_space_group_name_Hall 'P -2y'
_cell_length_a 9.890
_cell_length_b 5.962
_cell_length_c 14.605
_cell_angle_alpha 90.00
_cell_angle_beta 90.20
_cell_angle_gamma 90.00
loop_
_atom_site_label
_atom_site_type_symbol
_atom_site_fract_x
_atom_site_fract_y
_atom_site_fract_z
Mn1 Mn 0.000 0.000 0.000
Mn2 Mn 0.004 0.000 0.667
Mn3 Mn 0.500 0.000 0.126
Mn4 Mn 0.934 0.500 0.833
Fe1 Fe 0.495 0.000 0.797
Fe2 Fe 0.938 0.500 0.493
Fe3 Fe 0.941 0.500 0.160
Fe4 Fe 0.994 0.000 0.328
Co1 Co 0.436 0.500 0.298
Co2 Co 0.440 0.500 0.963
Co3 Co 0.442 0.500 0.632
Co4 Co 0.489 0.000 0.471
P1 P 0.120 0.500 0.343
P2 P 0.121 0.500 0.008
P3 P 0.121 0.500 0.674
P4 P 0.315 0.000 0.616
P5 P 0.317 0.000 0.953
P6 P 0.318 0.000 0.287
P7 P 0.614 0.500 0.448
P8 P 0.619 0.500 0.117
P9 P 0.620 0.500 0.784
P10 P 0.814 0.000 0.508
P11 P 0.817 0.000 0.173
P12 P 0.818 0.000 0.841
O1 O 0.043 0.299 0.390
O2 O 0.046 0.300 0.058
O3 O 0.052 0.298 0.724
O4 O 0.096 0.500 0.572
O5 O 0.097 0.500 0.239
O6 O 0.098 0.500 0.905
O7 O 0.162 0.000 0.594
O8 O 0.165 0.000 0.931
O9 O 0.167 0.000 0.266
O10 O 0.270 0.500 0.368
O11 O 0.272 0.500 0.030
O12 O 0.276 0.500 0.694
O13 O 0.336 0.000 0.058
O14 O 0.337 0.000 0.720
O15 O 0.339 0.000 0.392
O16 O 0.386 0.202 0.567
O17 O 0.390 0.202 0.905
O18 O 0.390 0.205 0.240
O19 O 0.543 0.298 0.399
O20 O 0.544 0.300 0.066
O21 O 0.547 0.297 0.736
O22 O 0.588 0.500 0.553
O23 O 0.598 0.500 0.220
O24 O 0.601 0.500 0.889
O25 O 0.660 0.000 0.527
O26 O 0.665 0.000 0.193
O27 O 0.666 0.000 0.861
O28 O 0.766 0.500 0.431
O29 O 0.770 0.500 0.095
O30 O 0.772 0.500 0.761
O31 O 0.836 0.000 0.404
O32 O 0.837 0.000 0.069
O33 O 0.840 0.000 0.737
O34 O 0.884 0.204 0.555
O35 O 0.890 0.201 0.222
O36 O 0.890 0.201 0.890
# E above lowest polymorph = 0.004 eV/atom
# spin magnetization = 52.00 μB/cell
# VASP energy = -7.071 eV per atom